Li9Mn2Co5O16 | PBE+U | optimized geometry

Values from the calculation:
The value obtained for the energy relative to the lowest polymorph listed for this composition is 45 meV/atom. As for the energy of formation: -1819 meV/atom. Its space-group type is P1, No. 1.

a = 5.0684 Å, b = 5.8332 Å, c = 9.8334 Å
α = 81.62°, β = 84.39°, γ = 89.30°
Element x y z (fractional)
Li (0.0000, 0.0000, 0.0000)
Li (0.0022, 0.5101, 0.0025)
Li (0.2467, 0.8771, 0.5103)
Li (0.2520, 0.3787, 0.5091)
Li (0.4894, 0.2549, 0.0031)
Li (0.5091, 0.7578, 0.0016)
Li (0.7469, 0.6305, 0.5118)
Li (0.7541, 0.1228, 0.5157)
Li (0.8749, 0.8160, 0.7573)
Mn (0.1253, 0.1928, 0.2581)
Mn (0.3732, 0.5679, 0.7558)
Co (0.1121, 0.6986, 0.2536)
Co (0.3774, 0.0588, 0.7575)
Co (0.6170, 0.4443, 0.2588)
Co (0.6313, 0.9370, 0.2560)
Co (0.8737, 0.3170, 0.7575)
O (0.0641, 0.1145, 0.6499)
O (0.0716, 0.5799, 0.6477)
O (0.1930, 0.3004, 0.8714)
O (0.2130, 0.7759, 0.8738)
O (0.2959, 0.9835, 0.1407)
O (0.3026, 0.4574, 0.1435)
O (0.4191, 0.1622, 0.3706)
O (0.4423, 0.6523, 0.3704)
O (0.5383, 0.8330, 0.6396)
O (0.5578, 0.3543, 0.6402)
O (0.6783, 0.5221, 0.8648)
O (0.6833, 0.0570, 0.8678)
O (0.8163, 0.7173, 0.1348)
O (0.8220, 0.2288, 0.1478)
O (0.9432, 0.4049, 0.3719)
O (0.9544, 0.9227, 0.3757)

---

LiFe2OF3 | PBE+U | optimized geometry

Values from the calculation:
The value obtained for the energy relative to the lowest polymorph listed for this composition is 28 meV/atom. As for the energy of formation: -2375 meV/atom. Its space-group type is P-1, No. 2.

a = 6.1248 Å, b = 6.1733 Å, c = 10.3612 Å
α = 90.33°, β = 90.20°, γ = 119.53°
Element x y z (fractional)
Li (0.1682, 0.3370, 0.4875)
Li (0.1689, 0.3378, 0.9875)
Li (0.8311, 0.6622, 0.0125)
Li (0.8318, 0.6630, 0.5125)
Fe (0.0002, 0.0006, 0.2502)
Fe (0.9998, 0.9994, 0.7498)
Fe (0.0007, 0.5005, 0.7502)
Fe (0.5000, 0.0000, 0.0000)
Fe (0.5000, 0.0000, 0.5000)
Fe (0.5005, 0.4996, 0.2498)
Fe (0.4995, 0.5004, 0.7502)
Fe (0.9993, 0.4995, 0.2498)
O (0.1707, 0.3414, 0.6672)
O (0.1717, 0.3427, 0.1672)
O (0.8283, 0.6573, 0.8328)
O (0.8293, 0.6586, 0.3328)
F (0.1512, 0.8355, 0.6108)
F (0.1564, 0.8396, 0.1093)
F (0.3177, 0.1605, 0.8911)
F (0.3196, 0.1646, 0.3908)
F (0.3269, 0.6539, 0.8944)
F (0.3310, 0.6591, 0.3967)
F (0.6690, 0.3409, 0.6033)
F (0.6731, 0.3461, 0.1056)
F (0.6804, 0.8354, 0.6092)
F (0.6823, 0.8395, 0.1089)
F (0.8436, 0.1604, 0.8907)
F (0.8488, 0.1645, 0.3892)

---

Cr3As4O16 | PBE+U | optimized geometry

Values from the calculation:
As for the energy of formation: -1585 meV/atom. Its space-group type is P2_1/c, No. 14.

a = 8.6719 Å, b = 5.0013 Å, c = 15.8086 Å
α = 90.00°, β = 112.27°, γ = 90.00°
Element x y z (fractional)
Cr (0.0000, 0.0000, 0.0000)
Cr (0.0000, 0.5000, 0.5000)
Cr (0.2776, 0.0657, 0.6303)
Cr (0.2776, 0.4343, 0.1303)
Cr (0.7224, 0.5657, 0.8697)
Cr (0.7224, 0.9343, 0.3697)
As (0.0704, 0.0666, 0.3964)
As (0.0704, 0.4334, 0.8964)
As (0.4582, 0.0667, 0.8543)
As (0.4582, 0.4333, 0.3543)
As (0.5418, 0.5667, 0.6457)
As (0.5418, 0.9333, 0.1457)
As (0.9296, 0.5666, 0.1036)
As (0.9296, 0.9334, 0.6036)
O (0.0089, 0.2454, 0.1026)
O (0.0089, 0.2546, 0.6026)
O (0.1127, 0.7370, 0.1012)
O (0.1127, 0.7630, 0.6012)
O (0.1509, 0.1231, 0.3195)
O (0.1509, 0.3769, 0.8195)
O (0.1889, 0.2198, 0.5048)
O (0.1889, 0.2802, 0.0048)
O (0.2947, 0.0066, 0.7492)
O (0.2947, 0.4934, 0.2492)
O (0.3844, 0.0983, 0.1648)
O (0.3844, 0.4017, 0.6648)
O (0.3928, 0.5472, 0.4372)
O (0.3928, 0.9528, 0.9372)
O (0.4641, 0.6029, 0.1253)
O (0.4641, 0.8971, 0.6253)
O (0.5359, 0.1029, 0.3747)
O (0.5359, 0.3971, 0.8747)
O (0.6072, 0.0472, 0.0628)
O (0.6072, 0.4528, 0.5628)
O (0.6156, 0.5983, 0.3352)
O (0.6156, 0.9017, 0.8352)
O (0.7053, 0.5066, 0.7508)
O (0.7053, 0.9934, 0.2508)
O (0.8111, 0.7198, 0.9952)
O (0.8111, 0.7802, 0.4952)
O (0.8491, 0.6231, 0.1805)
O (0.8491, 0.8769, 0.6805)
O (0.8873, 0.2370, 0.3988)
O (0.8873, 0.2630, 0.8988)
O (0.9911, 0.7454, 0.3974)
O (0.9911, 0.7546, 0.8974)

---

Li4V3P8O29 | PBE+U | optimized geometry

Values from the calculation:
The value obtained for the energy relative to the lowest polymorph listed for this composition is 11 meV/atom. As for the energy of formation: -2572 meV/atom. Its space-group type is P1, No. 1.

a = 9.7422 Å, b = 9.7732 Å, c = 14.1813 Å
α = 89.19°, β = 89.68°, γ = 60.42°
Element x y z (fractional)
Li (0.0000, 0.0000, 0.0000)
Li (0.0038, 0.5770, 0.4938)
Li (0.0859, 0.6772, 0.8819)
Li (0.4429, 0.0007, 0.4950)
Li (0.5394, 0.2428, 0.3788)
Li (0.6788, 0.2220, 0.8778)
Li (0.8182, 0.8950, 0.4282)
Li (0.8515, 0.5945, 0.0029)
V (0.2052, 0.4684, 0.6879)
V (0.2070, 0.9050, 0.1907)
V (0.3379, 0.9049, 0.6877)
V (0.3399, 0.3353, 0.1834)
V (0.7620, 0.4773, 0.1945)
V (0.7754, 0.3384, 0.6841)
P (0.0006, 0.5889, 0.2793)
P (0.0014, 0.9915, 0.7797)
P (0.0768, 0.8216, 0.5967)
P (0.0912, 0.6765, 0.0981)
P (0.0942, 0.2471, 0.0690)
P (0.1080, 0.2390, 0.5680)
P (0.4332, 0.5672, 0.3080)
P (0.4358, 0.5701, 0.8055)
P (0.4569, 0.1300, 0.7778)
P (0.4613, 0.9915, 0.2815)
P (0.5428, 0.2230, 0.5964)
P (0.5436, 0.8245, 0.0983)
P (0.6837, 0.2263, 0.0940)
P (0.6887, 0.6849, 0.6008)
P (0.8565, 0.1265, 0.2760)
P (0.8586, 0.5854, 0.7837)
O (0.0149, 0.6602, 0.0103)
O (0.0182, 0.9047, 0.8713)
O (0.0284, 0.5656, 0.7740)
O (0.0287, 0.9937, 0.2716)
O (0.0974, 0.2613, 0.9646)
O (0.0978, 0.0946, 0.1054)
O (0.0996, 0.3939, 0.6128)
O (0.1078, 0.8248, 0.0969)
O (0.1157, 0.6454, 0.6018)
O (0.1187, 0.2528, 0.4638)
O (0.1520, 0.0037, 0.7578)
O (0.1581, 0.4355, 0.2674)
O (0.2314, 0.8301, 0.6065)
O (0.2421, 0.2504, 0.1175)
O (0.2528, 0.5273, 0.1169)
O (0.2641, 0.0916, 0.6075)
O (0.2836, 0.5719, 0.7630)
O (0.2880, 0.7112, 0.2663)
O (0.2957, 0.2844, 0.7593)
O (0.3044, 0.9942, 0.2697)
O (0.3882, 0.3808, 0.6133)
O (0.3884, 0.8193, 0.1177)
O (0.4188, 0.5839, 0.9096)
O (0.4271, 0.9885, 0.7724)
O (0.4305, 0.7202, 0.7552)
O (0.4339, 0.1642, 0.2698)
O (0.4461, 0.4124, 0.2645)
O (0.4502, 0.5470, 0.4123)
O (0.5146, 0.2491, 0.1000)
O (0.5148, 0.8268, 0.6001)
O (0.5378, 0.1473, 0.5060)
O (0.5406, 0.1398, 0.8613)
O (0.5462, 0.9266, 0.3730)
O (0.5473, 0.9066, 0.0116)
O (0.5602, 0.1082, 0.6829)
O (0.5715, 0.8992, 0.1939)
O (0.5829, 0.5731, 0.2632)
O (0.5850, 0.4227, 0.7693)
O (0.6750, 0.3849, 0.1148)
O (0.6841, 0.2508, 0.6043)
O (0.6853, 0.6501, 0.1048)
O (0.6866, 0.5298, 0.6084)
O (0.7586, 0.7059, 0.7002)
O (0.7667, 0.1090, 0.3569)
O (0.7678, 0.1544, 0.0038)
O (0.7797, 0.1080, 0.1789)
O (0.7812, 0.7017, 0.5216)
O (0.7897, 0.6507, 0.8767)
O (0.8496, 0.2884, 0.2681)
O (0.8545, 0.1561, 0.7773)
O (0.8597, 0.5569, 0.2703)
O (0.8667, 0.4272, 0.7602)
O (0.9470, 0.3936, 0.1125)
O (0.9665, 0.2305, 0.6100)
O (0.9742, 0.9005, 0.5144)
O (0.9805, 0.6980, 0.1881)
O (0.9824, 0.8948, 0.6949)
O (0.9839, 0.6764, 0.3681)

---

SrPrMnO4 | PBE+U | optimized geometry

Values from the calculation:
As for the energy of formation: -2975 meV/atom. Its space-group type is I4mm, No. 107.

a = 3.8668 Å, b = 3.8668 Å, c = 12.8535 Å
α = 90.00°, β = 90.00°, γ = 90.00°
Element x y z (fractional)
Sr (0.0000, 0.0000, 0.0000)
Sr (0.5000, 0.5000, 0.5000)
Pr (0.0000, 0.0000, 0.7135)
Pr (0.5000, 0.5000, 0.2135)
Mn (0.0000, 0.0000, 0.3585)
Mn (0.5000, 0.5000, 0.8585)
O (0.0000, 0.0000, 0.1877)
O (0.0000, 0.0000, 0.5310)
O (0.0000, 0.5000, 0.3476)
O (0.0000, 0.5000, 0.8476)
O (0.5000, 0.0000, 0.3476)
O (0.5000, 0.0000, 0.8476)
O (0.5000, 0.5000, 0.0310)
O (0.5000, 0.5000, 0.6877)

---

Li9Mn2Co5O16 | PBE+U | optimized geometry

Values from the calculation:
The value obtained for the energy relative to the lowest polymorph listed for this composition is 108 meV/atom. As for the energy of formation: -1756 meV/atom. Its space-group type is P1, No. 1.

a = 5.1669 Å, b = 7.6623 Å, c = 7.7442 Å
α = 94.13°, β = 108.74°, γ = 96.66°
Element x y z (fractional)
Li (0.0000, 0.0000, 0.0000)
Li (0.0598, 0.6853, 0.5549)
Li (0.1246, 0.3772, 0.1254)
Li (0.2503, 0.7446, 0.2584)
Li (0.3626, 0.1257, 0.3701)
Li (0.4951, 0.4996, 0.4950)
Li (0.6101, 0.8663, 0.6110)
Li (0.7466, 0.2518, 0.7470)
Li (0.8686, 0.6209, 0.8619)
Mn (0.1876, 0.0547, 0.6786)
Mn (0.4257, 0.8113, 0.9320)
Co (0.3013, 0.4403, 0.8034)
Co (0.5559, 0.1918, 0.0640)
Co (0.6926, 0.5661, 0.1930)
Co (0.8156, 0.9331, 0.3122)
Co (0.9384, 0.3208, 0.4399)
O (0.0640, 0.8519, 0.7817)
O (0.0700, 0.5240, 0.3318)
O (0.1662, 0.2173, 0.8895)
O (0.2190, 0.9151, 0.4777)
O (0.2830, 0.6056, 0.0179)
O (0.3270, 0.2704, 0.5966)
O (0.4045, 0.9705, 0.1336)
O (0.4639, 0.6520, 0.7373)
O (0.5424, 0.3426, 0.2818)
O (0.5590, 0.0218, 0.8376)
O (0.6597, 0.7246, 0.3851)
O (0.6959, 0.3989, 0.9767)
O (0.8024, 0.7908, 0.0883)
O (0.8181, 0.0769, 0.5310)
O (0.9102, 0.4550, 0.6469)
O (0.9389, 0.1477, 0.2284)

---

Li9Mn2Co5O16 | PBE+U | optimized geometry

Values from the calculation:
The value obtained for the energy relative to the lowest polymorph listed for this composition is 32 meV/atom. As for the energy of formation: -1833 meV/atom. Its space-group type is P1, No. 1.

a = 5.0040 Å, b = 5.9213 Å, c = 10.1771 Å
α = 105.11°, β = 100.11°, γ = 91.25°
Element x y z (fractional)
Li (0.0000, 0.0000, 0.0000)
Li (0.0020, 0.4827, 0.0025)
Li (0.0055, 0.4899, 0.4931)
Li (0.2482, 0.3639, 0.2443)
Li (0.4876, 0.7407, 0.9988)
Li (0.4920, 0.2354, 0.4899)
Li (0.4940, 0.7382, 0.4911)
Li (0.4980, 0.2370, 0.9951)
Li (0.9970, 0.9828, 0.4942)
Mn (0.7463, 0.6129, 0.7447)
Mn (0.7480, 0.1157, 0.2449)
Co (0.2458, 0.8656, 0.7460)
Co (0.2477, 0.3603, 0.7448)
Co (0.2481, 0.8658, 0.2465)
Co (0.7480, 0.1133, 0.7462)
Co (0.7533, 0.6074, 0.2443)
O (0.1050, 0.1683, 0.8615)
O (0.1080, 0.6708, 0.8613)
O (0.1091, 0.6889, 0.3554)
O (0.1138, 0.1427, 0.3527)
O (0.3796, 0.5910, 0.1434)
O (0.3833, 0.0414, 0.1358)
O (0.3849, 0.5535, 0.6254)
O (0.3917, 0.0584, 0.6327)
O (0.6056, 0.9344, 0.3590)
O (0.6073, 0.4385, 0.8631)
O (0.6095, 0.9430, 0.8603)
O (0.6532, 0.4071, 0.3547)
O (0.8540, 0.2907, 0.1268)
O (0.8767, 0.8136, 0.1389)
O (0.8833, 0.7887, 0.6273)
O (0.8869, 0.2812, 0.6302)

---

Li6Ti8NiP8O40 | PBE+U | optimized geometry

Values from the calculation:
As for the energy of formation: -3005 meV/atom. Its space-group type is P-1, No. 2.

a = 6.4534 Å, b = 10.4352 Å, c = 10.4524 Å
α = 90.96°, β = 90.18°, γ = 90.33°
Element x y z (fractional)
Li (0.0000, 0.0000, 0.0000)
Li (0.0000, 0.0000, 0.5000)
Li (0.0000, 0.5000, 0.0000)
Li (0.5000, 0.0000, 0.0000)
Li (0.5000, 0.0000, 0.5000)
Li (0.5000, 0.5000, 0.0000)
Ti (0.2364, 0.7181, 0.5564)
Ti (0.2504, 0.9410, 0.2788)
Ti (0.2506, 0.2210, 0.0593)
Ti (0.2511, 0.4405, 0.7792)
Ti (0.7489, 0.5595, 0.2208)
Ti (0.7494, 0.7790, 0.9407)
Ti (0.7496, 0.0590, 0.7212)
Ti (0.7636, 0.2819, 0.4436)
Ni (0.5000, 0.5000, 0.5000)
P (0.2489, 0.7497, 0.8761)
P (0.2500, 0.1215, 0.7502)
P (0.2511, 0.2499, 0.3778)
P (0.2537, 0.6214, 0.2482)
P (0.7463, 0.3786, 0.7518)
P (0.7489, 0.7501, 0.6222)
P (0.7500, 0.8785, 0.2498)
P (0.7511, 0.2503, 0.1239)
O (0.0555, 0.5572, 0.1930)
O (0.0565, 0.0584, 0.6878)
O (0.0575, 0.3095, 0.4394)
O (0.0566, 0.8120, 0.9389)
O (0.2472, 0.7662, 0.2192)
O (0.2471, 0.8627, 0.4767)
O (0.2475, 0.6025, 0.8988)
O (0.2487, 0.3638, 0.9770)
O (0.2490, 0.7778, 0.7317)
O (0.2496, 0.0224, 0.1356)
O (0.2497, 0.1004, 0.8971)
O (0.2509, 0.2663, 0.7206)
O (0.2534, 0.2809, 0.2338)
O (0.2538, 0.1026, 0.3987)
O (0.2714, 0.6007, 0.3948)
O (0.2783, 0.5208, 0.6359)
O (0.4424, 0.3116, 0.4442)
O (0.4418, 0.5604, 0.1807)
O (0.4428, 0.0591, 0.6885)
O (0.4428, 0.8118, 0.9394)
O (0.5572, 0.1882, 0.0606)
O (0.5572, 0.9409, 0.3115)
O (0.5582, 0.4396, 0.8193)
O (0.5576, 0.6884, 0.5558)
O (0.7217, 0.4792, 0.3641)
O (0.7286, 0.3993, 0.6052)
O (0.7462, 0.8974, 0.6013)
O (0.7466, 0.7191, 0.7662)
O (0.7491, 0.7337, 0.2794)
O (0.7503, 0.8996, 0.1029)
O (0.7504, 0.9776, 0.8644)
O (0.7510, 0.2222, 0.2683)
O (0.7513, 0.6362, 0.0230)
O (0.7525, 0.3975, 0.1012)
O (0.7529, 0.1373, 0.5233)
O (0.7528, 0.2338, 0.7808)
O (0.9434, 0.1880, 0.0611)
O (0.9425, 0.6905, 0.5606)
O (0.9435, 0.9416, 0.3122)
O (0.9445, 0.4428, 0.8070)

---

Li2FeBAsO7 | PBE+U | optimized geometry

Values from the calculation:
As for the energy of formation: -2027 meV/atom. Its space-group type is P2_1/m, No. 11.

a = 5.1823 Å, b = 6.6414 Å, c = 8.7300 Å
α = 90.00°, β = 93.16°, γ = 90.00°
Element x y z (fractional)
Li (0.2174, 0.0220, 0.2970)
Li (0.2174, 0.4780, 0.2970)
Li (0.7826, 0.5220, 0.7030)
Li (0.7826, 0.9780, 0.7030)
Fe (0.2160, 0.7500, 0.8349)
Fe (0.7840, 0.2500, 0.1651)
B (0.2662, 0.7500, 0.5546)
B (0.7338, 0.2500, 0.4454)
As (0.2747, 0.2500, 0.9229)
As (0.7253, 0.7500, 0.0771)
O (0.0282, 0.7500, 0.6205)
O (0.1500, 0.2500, 0.1024)
O (0.1796, 0.0481, 0.8134)
O (0.1796, 0.4519, 0.8134)
O (0.2846, 0.7500, 0.4009)
O (0.3936, 0.7500, 0.0371)
O (0.4722, 0.7500, 0.6628)
O (0.5278, 0.2500, 0.3372)
O (0.6064, 0.2500, 0.9629)
O (0.7154, 0.2500, 0.5991)
O (0.8204, 0.5481, 0.1866)
O (0.8204, 0.9519, 0.1866)
O (0.8500, 0.7500, 0.8976)
O (0.9718, 0.2500, 0.3795)

---

MgV4SnO12 | PBE+U | optimized geometry

Values from the calculation:
The value obtained for the energy relative to the lowest polymorph listed for this composition is 0 meV/atom. As for the energy of formation: -2328 meV/atom. Its space-group type is C2, No. 5.

a = 7.1516 Å, b = 7.1516 Å, c = 5.8725 Å
α = 109.64°, β = 109.64°, γ = 80.05°
Element x y z (fractional)
Mg (0.0000, 0.0000, 0.0000)
V (0.0448, 0.3621, 0.4349)
V (0.4568, 0.1348, 0.0677)
V (0.6379, 0.9552, 0.5651)
V (0.8652, 0.5432, 0.9323)
Sn (0.3509, 0.6491, 0.0000)
O (0.0580, 0.7138, 0.0359)
O (0.1183, 0.1209, 0.3954)
O (0.2371, 0.5175, 0.6128)
O (0.2862, 0.9420, 0.9641)
O (0.3602, 0.3664, 0.0263)
O (0.4825, 0.7629, 0.3872)
O (0.5747, 0.1342, 0.4005)
O (0.6336, 0.6398, 0.9737)
O (0.6551, 0.0497, 0.9015)
O (0.8658, 0.4253, 0.5995)
O (0.8791, 0.8817, 0.6046)
O (0.9503, 0.3449, 0.0985)

---

Look up the energy of formation of the ninth one. -2027 meV/atom

---

Look up the energy of formation of the second one. -2375 meV/atom